Crystalline Yb2AgPd at its relaxed geometry, computed with r²SCAN.

Cell: 4.918 4.918 4.918 Å, 60.00 60.00 60.00°
Atoms (fractional coordinates):
Yb1 0.250 0.250 0.250
Yb2 0.750 0.750 0.750
Ag1 0.500 0.500 0.500
Pd1 0.000 0.000 0.000

Values from the calculation:
V   21.0 A^3/atom
Theoretical density   11.06 g cm⁻³
Polymorph energy (0 for the lowest one)   8.1 meV/atom

Crystalline RbGeI3 at its relaxed geometry, computed with r²SCAN.

Cell: 5.915 5.915 5.915 Å, 90.00 90.00 90.00°
Atoms (fractional coordinates):
I1 0.000 0.500 0.000
I2 0.500 0.000 0.000
I3 0.000 0.000 0.500
Ge1 0.000 0.000 0.000
Rb1 0.500 0.500 0.500

Values from the calculation:
V   41.4 A^3/atom
Theoretical density   4.32 g cm⁻³
DFT total energy   -21.13 eV/atom

Crystalline ZrCuF6 at its relaxed geometry, computed with r²SCAN.

Cell: 5.579 5.579 5.579 Å, 56.98 56.98 56.98°
Atoms (fractional coordinates):
F1 0.248 0.646 0.856
F2 0.752 0.354 0.144
Zr1 0.500 0.500 0.500
F3 0.856 0.248 0.646
F4 0.354 0.144 0.752
F5 0.646 0.856 0.248
Cu1 0.000 0.000 0.000
F6 0.144 0.752 0.354

Values from the calculation:
V   14.3 A^3/atom
Theoretical density   3.91 g cm⁻³
DFT total energy   -9.67 eV/atom

Crystalline Zr2InC at its relaxed geometry, computed with r²SCAN.

Cell: 3.363 3.363 15.034 Å, 90.00 90.00 120.00°
Atoms (fractional coordinates):
C1 0.000 0.000 0.000
Zr1 0.667 0.333 0.918
Zr2 0.333 0.667 0.418
C2 0.000 0.000 0.500
In1 0.333 0.667 0.750
In2 0.667 0.333 0.250
Zr3 0.667 0.333 0.582
Zr4 0.333 0.667 0.082

Values from the calculation:
V   18.4 A^3/atom
Theoretical density   6.97 g cm⁻³
DFT total energy   -20.35 eV/atom

Number 1: spin magnetization 0.0 μB/f.u.. Number 2: spin magnetization 0.0 μB/f.u.. Number 3: spin magnetization 1.0 μB/f.u.. Number 4: spin magnetization 0.0 μB/f.u..